Material: Ce3GeS2
Method: DFT, r²SCAN
State: optimized geometry

a b c (Å): 7.258 7.258 7.258
angles (deg): 146.16 131.81 60.18
Fractional positions:
Ce: 0.668 0.668 0.000
Ce: 0.332 0.332 0.000
Ce: 0.000 0.000 0.000
S: 0.835 0.335 0.500
S: 0.165 0.665 0.500
Ge: 0.500 0.000 0.500

**Symmetry**: Immm
**VASP energy**: -22.318 eV/atom